1.
Here is a geometry-optimized TlSbF4 structure from Materials Project. Energies are from GGA-PBE.

Calculated values
DFT formation energy ... -2.501 eV/atom

a b c (Å): 7.6789 7.1077 8.4832
angles (deg): 90.00 98.20 90.00
With the nearest neighbours (Å) after each atom.
Space group P2_1/c (No. 14)
Unique sites:
Tl 0.1248 0.2490 0.4544 x4  4 F 2.71-3.01
Sb 0.3725 0.7000 0.7850 x4  4 F 2.00-2.22
F 0.1174 0.6111 0.8026 x4  1 Sb 2.08
F 0.2510 0.5621 0.2071 x4  1 Sb 2.00
F 0.3172 0.6049 0.5621 x4  1 Sb 2.00
F 0.4082 0.1601 0.3128 x4  1 Sb 2.22

---

2.
Here is a geometry-optimized Sr2NbSbO6 structure from Materials Project. Energies are from GGA-PBE.

Calculated values
DFT formation energy ... -2.803 eV/atom
Magnetization ... 0.00 μB per cell

a b c (Å): 8.4154 8.4154 8.4154
angles (deg): 90.00 90.00 90.00
With the nearest neighbours (Å) after each atom.
Space group Pn-3 (No. 201, origin choice 2)
Unique sites:
Sr 0.2500 0.2500 0.2500 x2  12 O 2.97
Sr 0.2500 0.2500 0.7500 x6  4 O 2.52
Nb 0.0000 0.0000 0.0000 x4  6 O 2.03
Sb 0.0000 0.0000 0.5000 x4  6 O 2.28
O 0.0352 0.5422 0.7345 x24  1 Nb 2.03